Ca5MnPb3 | GGA-PBE | relaxed

Geometry as POSCAR:
```
Ca5MnPb3
1.0
-8.348 4.363 1.370
0.339 -8.244 -4.745
-0.830 -3.454 5.942
Ca Mn Pb
10 2 6
Direct
0.708 0.000 0.750
0.292 0.000 0.250
0.292 0.292 0.750
0.000 0.708 0.750
0.333 0.667 0.500
0.667 0.333 0.500
0.708 0.708 0.250
0.000 0.292 0.250
0.333 0.667 0.000
0.667 0.333 0.000
0.000 0.000 0.000
0.000 0.000 0.500
0.000 0.638 0.250
0.000 0.362 0.750
0.362 0.000 0.750
0.362 0.362 0.250
0.638 0.000 0.250
0.638 0.638 0.750
```

Results
The calculation puts the final energy at -3.672 eV per atom. The calculation puts the theoretical density at 5.36 g cm⁻³. The crystal system is hexagonal.

---

CaMn2S5 | GGA-PBE | relaxed

Geometry as POSCAR:
```
CaMn2S5
1.0
-0.863 1.102 4.015
-5.919 -1.930 -0.743
3.572 -12.582 4.223
Ca Mn S
2 4 10
Direct
0.500 0.633 0.000
0.000 0.367 0.500
0.000 0.088 0.847
0.500 0.912 0.653
0.500 0.912 0.347
0.000 0.088 0.153
0.500 0.061 0.500
0.000 0.939 0.000
0.500 0.931 0.823
0.000 0.069 0.677
0.500 0.931 0.177
0.000 0.069 0.323
0.000 0.413 0.101
0.500 0.587 0.399
0.500 0.587 0.601
0.000 0.413 0.899
```

Results
The calculation puts the final energy at -5.863 eV per atom. The calculation puts the theoretical density at 2.81 g cm⁻³. The crystal system is orthorhombic.

---

CaMnS2 | GGA-PBE | relaxed

Geometry as POSCAR:
```
CaMnS2
1.0
1.332 0.958 -6.400
-2.500 0.529 -6.093
-0.860 3.927 -5.244
Ca Mn S
1 1 2
Direct
0.000 0.000 0.000
0.500 0.500 0.500
0.242 0.242 0.242
0.758 0.758 0.758
```

Results
The calculation puts the final energy at -6.146 eV per atom. The calculation puts the theoretical density at 3.28 g cm⁻³. The crystal system is trigonal.

---

CaMn2Sb2 | GGA-PBE | relaxed

Geometry as POSCAR:
```
CaMn2Sb2
1.0
2.238 3.876 0.000
2.238 -3.876 0.000
0.000 0.000 -7.440
Ca Mn Sb
1 2 2
Direct
0.000 0.000 0.000
0.667 0.333 0.614
0.333 0.667 0.386
0.333 0.667 0.743
0.667 0.333 0.257
```

Results
The calculation puts the final energy at -6.019 eV per atom. The calculation puts the theoretical density at 5.06 g cm⁻³. The crystal system is trigonal.

---

Ca14MnSb11 | GGA-PBE | relaxed

Geometry as POSCAR:
```
Ca14MnSb11
1.0
-8.411 8.411 11.112
8.411 -8.411 11.112
8.411 8.411 -11.112
Ca Mn Sb
56 4 44
Direct
0.746 0.527 0.867
0.246 0.379 0.218
0.777 0.496 0.367
0.277 0.911 0.282
0.004 0.723 0.633
0.504 0.871 0.282
0.973 0.754 0.133
0.473 0.339 0.218
0.161 0.027 0.782
0.661 0.879 0.133
0.629 0.996 0.718
0.129 0.411 0.633
0.589 0.223 0.718
0.089 0.371 0.367
0.121 0.254 0.782
0.621 0.839 0.867
0.894 0.998 0.150
0.394 0.245 0.896
0.248 0.644 0.650
0.748 0.099 0.604
0.856 0.252 0.350
0.356 0.005 0.604
0.502 0.606 0.850
0.002 0.151 0.896
0.349 0.498 0.104
0.849 0.745 0.850
0.495 0.144 0.396
0.995 0.599 0.350
0.401 0.752 0.396
0.901 0.505 0.650
0.255 0.106 0.104
0.755 0.651 0.150
0.979 0.375 0.104
0.479 0.375 0.604
0.625 0.729 0.604
0.125 0.521 0.896
0.771 0.875 0.396
0.271 0.875 0.896
0.625 0.229 0.104
0.125 0.021 0.396
0.123 0.603 0.162
0.623 0.461 0.520
0.853 0.873 0.662
0.353 0.691 0.980
0.627 0.647 0.338
0.127 0.789 0.980
0.897 0.377 0.838
0.397 0.559 0.520
0.941 0.103 0.480
0.441 0.961 0.838
0.711 0.373 0.020
0.211 0.191 0.338
0.809 0.147 0.020
0.309 0.289 0.662
0.039 0.877 0.480
0.539 0.059 0.162
0.500 0.500 0.000
0.000 0.000 0.000
0.750 0.250 0.500
0.250 0.750 0.500
0.886 0.886 0.272
0.386 0.114 0.000
0.136 0.636 0.772
0.636 0.864 0.500
0.864 0.364 0.228
0.364 0.136 0.500
0.614 0.614 0.728
0.114 0.386 0.000
0.175 0.818 0.367
0.675 0.308 0.357
0.068 0.925 0.867
0.568 0.701 0.143
0.575 0.432 0.133
0.075 0.942 0.143
0.682 0.325 0.633
0.182 0.549 0.357
0.951 0.318 0.643
0.451 0.808 0.633
0.558 0.425 0.857
0.058 0.201 0.133
0.799 0.932 0.857
0.299 0.442 0.867
0.192 0.825 0.643
0.692 0.049 0.367
0.958 0.605 0.906
0.458 0.552 0.353
0.855 0.708 0.406
0.355 0.948 0.147
0.792 0.645 0.594
0.292 0.698 0.147
0.895 0.542 0.094
0.395 0.302 0.353
0.198 0.105 0.647
0.698 0.052 0.094
0.802 0.208 0.853
0.302 0.448 0.594
0.552 0.145 0.853
0.052 0.198 0.406
0.948 0.042 0.647
0.448 0.802 0.906
0.750 0.750 0.000
0.250 0.250 0.000
0.000 0.500 0.500
0.500 0.000 0.500
```

Results
The calculation puts the final energy at -4.152 eV per atom. The calculation puts the theoretical density at 4.13 g cm⁻³. The crystal system is tetragonal.

---

CaMn2Sb2 | GGA-PBE | relaxed

Geometry as POSCAR:
```
CaMn2Sb2
1.0
4.494 -0.001 0.000
2.247 -3.910 7.509
0.002 -7.696 0.064
Ca Mn Sb
2 4 4
Direct
0.500 0.000 0.500
0.000 0.000 0.000
0.190 0.619 0.867
0.310 0.381 0.633
0.690 0.619 0.367
0.810 0.381 0.133
0.372 0.258 0.034
0.872 0.257 0.534
0.628 0.743 0.966
0.128 0.742 0.466
```

Results
The calculation puts the final energy at -6.010 eV per atom. The calculation puts the theoretical density at 5.05 g cm⁻³.

---

What is the formula in the fifth record?
Ca14MnSb11

---

The highest final energy belongs to which entry?
Ca5MnPb3

---

What did the fifth record say?
Ca14MnSb11 | GGA-PBE | relaxed

Geometry as POSCAR:
```
Ca14MnSb11
1.0
-8.411 8.411 11.112
8.411 -8.411 11.112
8.411 8.411 -11.112
Ca Mn Sb
56 4 44
Direct
0.746 0.527 0.867
0.246 0.379 0.218
0.777 0.496 0.367
0.277 0.911 0.282
0.004 0.723 0.633
0.504 0.871 0.282
0.973 0.754 0.133
0.473 0.339 0.218
0.161 0.027 0.782
0.661 0.879 0.133
0.629 0.996 0.718
0.129 0.411 0.633
0.589 0.223 0.718
0.089 0.371 0.367
0.121 0.254 0.782
0.621 0.839 0.867
0.894 0.998 0.150
0.394 0.245 0.896
0.248 0.644 0.650
0.748 0.099 0.604
0.856 0.252 0.350
0.356 0.005 0.604
0.502 0.606 0.850
0.002 0.151 0.896
0.349 0.498 0.104
0.849 0.745 0.850
0.495 0.144 0.396
0.995 0.599 0.350
0.401 0.752 0.396
0.901 0.505 0.650
0.255 0.106 0.104
0.755 0.651 0.150
0.979 0.375 0.104
0.479 0.375 0.604
0.625 0.729 0.604
0.125 0.521 0.896
0.771 0.875 0.396
0.271 0.875 0.896
0.625 0.229 0.104
0.125 0.021 0.396
0.123 0.603 0.162
0.623 0.461 0.520
0.853 0.873 0.662
0.353 0.691 0.980
0.627 0.647 0.338
0.127 0.789 0.980
0.897 0.377 0.838
0.397 0.559 0.520
0.941 0.103 0.480
0.441 0.961 0.838
0.711 0.373 0.020
0.211 0.191 0.338
0.809 0.147 0.020
0.309 0.289 0.662
0.039 0.877 0.480
0.539 0.059 0.162
0.500 0.500 0.000
0.000 0.000 0.000
0.750 0.250 0.500
0.250 0.750 0.500
0.886 0.886 0.272
0.386 0.114 0.000
0.136 0.636 0.772
0.636 0.864 0.500
0.864 0.364 0.228
0.364 0.136 0.500
0.614 0.614 0.728
0.114 0.386 0.000
0.175 0.818 0.367
0.675 0.308 0.357
0.068 0.925 0.867
0.568 0.701 0.143
0.575 0.432 0.133
0.075 0.942 0.143
0.682 0.325 0.633
0.182 0.549 0.357
0.951 0.318 0.643
0.451 0.808 0.633
0.558 0.425 0.857
0.058 0.201 0.133
0.799 0.932 0.857
0.299 0.442 0.867
0.192 0.825 0.643
0.692 0.049 0.367
0.958 0.605 0.906
0.458 0.552 0.353
0.855 0.708 0.406
0.355 0.948 0.147
0.792 0.645 0.594
0.292 0.698 0.147
0.895 0.542 0.094
0.395 0.302 0.353
0.198 0.105 0.647
0.698 0.052 0.094
0.802 0.208 0.853
0.302 0.448 0.594
0.552 0.145 0.853
0.052 0.198 0.406
0.948 0.042 0.647
0.448 0.802 0.906
0.750 0.750 0.000
0.250 0.250 0.000
0.000 0.500 0.500
0.500 0.000 0.500
```

Results
The calculation puts the final energy at -4.152 eV per atom. The calculation puts the theoretical density at 4.13 g cm⁻³. The crystal system is tetragonal.

---

Among the records above, which one has the lowest final energy?
CaMnS2